Entry 1:
The following is a meta-GGA r2SCAN calculation of an optimized crystal structure of RbLu3F10, from the Materials Project.

- V: 15.32 Å³ per atom

abc: 8.343 12.978 15.849
angles: 90.00 90.00 90.00
Space group Cmce (No. 64)
Symmetry-distinct sites (fractional):
1 Rb 0.000 0.000 0.000
2 Rb 0.000 0.000 0.500
3 Lu 0.248 0.228 0.113
4 Lu 0.250 0.002 0.750
5 F 0.000 0.007 0.226
6 F 0.000 0.199 0.103
7 F 0.000 0.239 0.386
8 F 0.198 0.133 0.674
9 F 0.227 0.062 0.374
10 F 0.248 0.158 0.513
11 F 0.250 0.179 0.250

=====

Entry 2:
The following is a meta-GGA r2SCAN calculation of an optimized crystal structure of Na3VS4, from the Materials Project.

- V: 22.35 Å³ per atom

abc: 13.443 13.443 7.915
angles: 90.00 90.00 90.00
Space group P-42_1c (No. 114)
Symmetry-distinct sites (fractional):
1 Na 0.000 0.000 0.211
2 Na 0.000 0.500 0.075
3 Na 0.045 0.745 0.354
4 Na 0.200 0.246 0.064
5 V 0.011 0.262 0.780
6 S 0.009 0.814 0.014
7 S 0.080 0.161 0.603
8 S 0.108 0.387 0.819
9 S 0.130 0.690 0.677

=====

Entry 3:
The following is a meta-GGA r2SCAN calculation of an optimized crystal structure of Sc2Si2Pt3, from the Materials Project.

- V: 16.06 Å³ per atom

abc: 6.382 8.690 4.053
angles: 90.00 90.00 90.00
Space group Pbam (No. 55)
Symmetry-distinct sites (fractional):
1 Sc 0.109 0.170 0.000
2 Si 0.074 0.649 0.500
3 Pt 0.000 0.500 0.000
4 Pt 0.192 0.912 0.500

=====

| no. | total magnetization (μB/f.u.) | formation enthalpy at 0 K (eV per atom) |
| --- | --- | --- |
| 1 | 0.000 | -4.31 |
| 2 | 0.000 | -1.23 |
| 3 | 0.000 | -1.28 |